(1)
# CsTeF5

A relaxed CsTeF5 crystal (meta-GGA r2SCAN, the Materials Project database).

Results
Size of the total moment, μB per formula unit: 0.00
Energy relative to the elements, kcal/mol of atoms: -59.3

Cell: 10.0952 6.6250 8.2127 Å, 90.00 90.00 90.00°
Space group Pnma (No. 62)
Inequivalent atoms, fractional coordinates:
1 Cs 0.1703 0.2500 0.1341 [4 per cell]
2 Te 0.0673 0.2500 0.6383 [4 per cell]
3 F 0.0694 0.0365 0.8078 [8 per cell]
4 F 0.1351 0.0469 0.4792 [8 per cell]
5 F 0.2497 0.2500 0.6942 [4 per cell]

***

(2)
# CsTh3F13

A relaxed CsTh3F13 crystal (meta-GGA r2SCAN, the Materials Project database).

Results
Size of the total moment, μB per formula unit: 0.00
Energy relative to the elements, kcal/mol of atoms: -99.5

Cell: 8.1739 7.5895 8.6235 Å, 90.00 90.00 90.00°
Space group Pmc2_1 (No. 26)
Inequivalent atoms, fractional coordinates:
1 Cs 0.0000 0.1069 0.0000 [2 per cell]
2 Th 0.2487 0.3956 0.6323 [4 per cell]
3 Th 0.5000 0.1100 0.2941 [2 per cell]
4 F 0.0000 0.2322 0.6624 [2 per cell]
5 F 0.0000 0.4442 0.1481 [2 per cell]
6 F 0.1982 0.4547 0.8950 [4 per cell]
7 F 0.2488 0.1788 0.4373 [4 per cell]
8 F 0.3056 0.1131 0.7496 [4 per cell]
9 F 0.3300 0.3106 0.1615 [4 per cell]
10 F 0.5000 0.0353 0.0294 [2 per cell]
11 F 0.5000 0.3630 0.4754 [2 per cell]
12 F 0.5000 0.3963 0.7591 [2 per cell]

***

(3)
# CsTlF3

A relaxed CsTlF3 crystal (meta-GGA r2SCAN, the Materials Project database).

Results
Size of the total moment, μB per formula unit: 0.00
Energy relative to the elements, kcal/mol of atoms: -55.8

Cell: 9.5599 9.5599 9.5599 Å, 90.00 90.00 90.00°
Space group Fm-3m (No. 225)
Inequivalent atoms, fractional coordinates:
1 Cs 0.2500 0.2500 0.2500 [8 per cell]
2 Tl 0.0000 0.0000 0.0000 [4 per cell]
3 Tl 0.0000 0.0000 0.5000 [4 per cell]
4 F 0.0000 0.0000 0.2277 [24 per cell]